Entry 1:
{"formula": "Li7VN4", "functional": "PBE-GGA", "state": "relaxed", "cell": [[-4.485, 8.237, -2.173], [-3.296, 0.587, 9.026], [7.855, 4.949, 2.547]], "species": ["V", "V", "V", "V", "V", "V", "V", "V", "Li", "Li", "Li", "Li", "Li", "Li", "Li", "Li", "Li", "Li", "Li", "Li", "Li", "Li", "Li", "Li", "Li", "Li", "Li", "Li", "Li", "Li", "Li", "Li", "Li", "Li", "Li", "Li", "Li", "Li", "Li", "Li", "Li", "Li", "Li", "Li", "Li", "Li", "Li", "Li", "Li", "Li", "Li", "Li", "Li", "Li", "Li", "Li", "Li", "Li", "Li", "Li", "Li", "Li", "Li", "Li", "N", "N", "N", "N", "N", "N", "N", "N", "N", "N", "N", "N", "N", "N", "N", "N", "N", "N", "N", "N", "N", "N", "N", "N", "N", "N", "N", "N", "N", "N", "N", "N"], "fractional_positions": [[0.500, 0.500, 0.500], [0.250, 0.500, 0.000], [0.500, 0.000, 0.250], [0.000, 0.250, 0.500], [0.000, 0.000, 0.000], [0.500, 0.000, 0.750], [0.000, 0.750, 0.500], [0.750, 0.500, 0.000], [0.763, 0.016, 0.749], [0.500, 0.500, 0.765], [0.237, 0.016, 0.251], [0.500, 0.000, 0.000], [0.484, 0.263, 0.751], [0.000, 0.000, 0.500], [0.251, 0.237, 0.016], [0.500, 0.250, 0.000], [0.749, 0.237, 0.984], [0.016, 0.749, 0.763], [0.516, 0.737, 0.751], [0.751, 0.516, 0.737], [0.500, 0.750, 0.000], [0.516, 0.263, 0.249], [0.737, 0.751, 0.516], [0.763, 0.984, 0.251], [0.249, 0.516, 0.263], [0.000, 0.000, 0.735], [0.765, 0.500, 0.500], [0.263, 0.751, 0.484], [0.266, 0.734, 0.734], [0.737, 0.249, 0.484], [0.250, 0.000, 0.500], [0.749, 0.763, 0.016], [0.000, 0.500, 0.750], [0.000, 0.735, 0.000], [0.484, 0.737, 0.249], [0.766, 0.766, 0.766], [0.234, 0.234, 0.766], [0.266, 0.266, 0.266], [0.235, 0.500, 0.500], [0.263, 0.249, 0.516], [0.234, 0.766, 0.234], [0.000, 0.500, 0.000], [0.249, 0.484, 0.737], [0.735, 0.000, 0.000], [0.734, 0.266, 0.734], [0.500, 0.500, 0.000], [0.500, 0.000, 0.500], [0.500, 0.500, 0.235], [0.251, 0.763, 0.984], [0.984, 0.749, 0.237], [0.500, 0.765, 0.500], [0.000, 0.500, 0.250], [0.000, 0.000, 0.265], [0.000, 0.265, 0.000], [0.237, 0.984, 0.749], [0.016, 0.251, 0.237], [0.751, 0.484, 0.263], [0.734, 0.734, 0.266], [0.766, 0.234, 0.234], [0.265, 0.000, 0.000], [0.500, 0.235, 0.500], [0.000, 0.500, 0.500], [0.984, 0.251, 0.763], [0.750, 0.000, 0.500], [0.858, 0.392, 0.884], [0.608, 0.884, 0.142], [0.884, 0.858, 0.392], [0.110, 0.110, 0.890], [0.110, 0.890, 0.110], [0.116, 0.858, 0.608], [0.116, 0.142, 0.392], [0.892, 0.642, 0.616], [0.642, 0.384, 0.108], [0.610, 0.610, 0.390], [0.108, 0.358, 0.616], [0.392, 0.884, 0.858], [0.142, 0.608, 0.884], [0.358, 0.616, 0.108], [0.390, 0.610, 0.610], [0.392, 0.116, 0.142], [0.390, 0.390, 0.390], [0.384, 0.108, 0.642], [0.610, 0.390, 0.610], [0.616, 0.892, 0.642], [0.108, 0.642, 0.384], [0.616, 0.108, 0.358], [0.858, 0.608, 0.116], [0.892, 0.358, 0.384], [0.890, 0.110, 0.110], [0.608, 0.116, 0.858], [0.358, 0.384, 0.892], [0.890, 0.890, 0.890], [0.384, 0.892, 0.358], [0.642, 0.616, 0.892], [0.142, 0.392, 0.116], [0.884, 0.142, 0.608]], "magnetic_moment_mub_per_fu": 0.0, "spacegroup": "P-43n (218)", "dft_energy_ev_per_atom": -5.43, "formation_energy_ev_per_atom": -0.902, "corrected_energy_ev_per_atom": -5.55}

***

Entry 2:
{"formula": "LiVN", "functional": "PBE-GGA", "state": "relaxed", "cell": [[6.907, 0.000, 0.000], [0.000, 3.265, 0.000], [0.000, 0.000, 4.915]], "species": ["N", "N", "N", "N", "V", "V", "V", "V", "Li", "Li", "Li", "Li"], "fractional_positions": [[0.124, 0.750, 0.783], [0.376, 0.250, 0.283], [0.624, 0.750, 0.717], [0.876, 0.250, 0.217], [0.137, 0.250, 0.050], [0.363, 0.750, 0.550], [0.863, 0.750, 0.950], [0.637, 0.250, 0.450], [0.916, 0.750, 0.437], [0.084, 0.250, 0.563], [0.584, 0.250, 0.937], [0.416, 0.750, 0.063]], "magnetic_moment_mub_per_fu": 0.0, "spacegroup": "Pnma (62)", "dft_energy_ev_per_atom": -7.02, "formation_energy_ev_per_atom": -0.698, "corrected_energy_ev_per_atom": -7.14}

***

Entry 3:
{"formula": "Li3VN2", "functional": "PBE-GGA", "state": "relaxed", "cell": [[-0.902, -7.054, -2.906], [6.175, 3.482, -1.390], [-0.643, 5.214, 10.204]], "species": ["Li", "Li", "Li", "Li", "Li", "Li", "Li", "Li", "Li", "Li", "Li", "Li", "N", "N", "N", "N", "N", "N", "N", "N", "V", "V", "V", "V"], "fractional_positions": [[0.513, 0.013, 0.507], [0.487, 0.487, 0.743], [0.513, 0.513, 0.257], [0.000, 0.500, 0.126], [0.487, 0.987, 0.993], [0.513, 0.000, 0.257], [0.000, 0.000, 0.124], [0.000, 0.500, 0.374], [0.513, 0.500, 0.507], [0.487, 0.000, 0.743], [0.487, 0.500, 0.993], [0.000, 0.000, 0.876], [0.397, 0.698, 0.733], [0.397, 0.198, 0.914], [0.000, 0.302, 0.966], [0.603, 0.302, 0.336], [0.000, 0.198, 0.284], [0.000, 0.698, 0.966], [0.000, 0.802, 0.284], [0.603, 0.802, 0.517], [0.000, 0.000, 0.366], [0.000, 0.000, 0.634], [0.000, 0.500, 0.884], [0.000, 0.500, 0.616]], "magnetic_moment_mub_per_fu": 0.3, "spacegroup": "I4_1/amd (141)", "dft_energy_ev_per_atom": -5.66, "formation_energy_ev_per_atom": -0.534, "corrected_energy_ev_per_atom": -5.78}

***

Entry 4:
{"formula": "Li2VN2", "functional": "PBE-GGA", "state": "relaxed", "cell": [[3.006, 0.000, 0.000], [-1.503, 2.603, 0.000], [0.000, 0.000, 5.511]], "species": ["Li", "Li", "V", "N", "N"], "fractional_positions": [[0.333, 0.667, 0.639], [0.667, 0.333, 0.361], [0.000, 0.000, 0.000], [0.333, 0.667, 0.208], [0.667, 0.333, 0.792]], "magnetic_moment_mub_per_fu": 1.0, "spacegroup": "P-3m1 (164)", "dft_energy_ev_per_atom": -6.63, "formation_energy_ev_per_atom": -0.864, "corrected_energy_ev_per_atom": -6.78}

***

Entry 5:
{"formula": "LiV2N3", "functional": "PBE-GGA", "state": "relaxed", "cell": [[3.609, 3.751, -2.666], [-5.731, 0.323, -1.121], [-0.458, 2.650, 3.108]], "species": ["V", "V", "V", "V", "Li", "Li", "N", "N", "N", "N", "N", "N"], "fractional_positions": [[0.006, 0.675, 0.250], [0.675, 0.006, 0.250], [0.325, 0.994, 0.750], [0.994, 0.325, 0.750], [0.348, 0.348, 0.250], [0.652, 0.652, 0.750], [0.337, 0.982, 0.250], [0.663, 0.018, 0.750], [0.018, 0.663, 0.750], [0.713, 0.713, 0.250], [0.287, 0.287, 0.750], [0.982, 0.337, 0.250]], "spacegroup": "Cmcm (63)", "dft_energy_ev_per_atom": -8.46, "formation_energy_ev_per_atom": -1.124, "corrected_energy_ev_per_atom": -8.64}

***

Entry 6:
{"formula": "Li7VN4", "functional": "PBE-GGA", "state": "relaxed", "cell": [[-6.340, 2.073, -1.203], [-1.596, -1.112, 6.493], [1.291, 4.591, 1.103]], "species": ["Li", "Li", "Li", "Li", "Li", "Li", "Li", "Li", "Li", "Li", "Li", "Li", "Li", "Li", "N", "N", "N", "N", "N", "N", "N", "N", "V", "V"], "fractional_positions": [[0.237, 0.237, 0.000], [0.000, 0.500, 0.913], [0.763, 0.763, 0.000], [0.000, 0.000, 0.000], [0.763, 0.237, 0.000], [0.500, 0.000, 0.087], [0.737, 0.263, 0.500], [0.500, 0.500, 0.500], [0.237, 0.763, 0.000], [0.500, 0.000, 0.587], [0.263, 0.263, 0.500], [0.263, 0.737, 0.500], [0.737, 0.737, 0.500], [0.000, 0.500, 0.413], [0.775, 0.000, 0.288], [0.225, 0.000, 0.288], [0.275, 0.500, 0.212], [0.000, 0.225, 0.712], [0.500, 0.275, 0.788], [0.725, 0.500, 0.212], [0.500, 0.725, 0.788], [0.000, 0.775, 0.712], [0.000, 0.000, 0.500], [0.500, 0.500, 0.000]], "magnetic_moment_mub_per_fu": 0.0, "spacegroup": "P4_2/nmc (137)", "dft_energy_ev_per_atom": -5.43, "formation_energy_ev_per_atom": -0.898, "corrected_energy_ev_per_atom": -5.55}

***

Entry 7:
{"formula": "Li7VN4", "functional": "PBE-GGA", "state": "relaxed", "cell": [[-0.426, -6.478, 7.080], [1.463, -7.048, -6.361], [9.484, 0.796, 1.299]], "species": ["N", "N", "N", "N", "N", "N", "N", "N", "N", "N", "N", "N", "N", "N", "N", "N", "N", "N", "N", "N", "N", "N", "N", "N", "N", "N", "N", "N", "N", "N", "N", "N", "V", "V", "V", "V", "V", "V", "V", "V", "Li", "Li", "Li", "Li", "Li", "Li", "Li", "Li", "Li", "Li", "Li", "Li", "Li", "Li", "Li", "Li", "Li", "Li", "Li", "Li", "Li", "Li", "Li", "Li", "Li", "Li", "Li", "Li", "Li", "Li", "Li", "Li", "Li", "Li", "Li", "Li", "Li", "Li", "Li", "Li", "Li", "Li", "Li", "Li", "Li", "Li", "Li", "Li", "Li", "Li", "Li", "Li", "Li", "Li", "Li", "Li"], "fractional_positions": [[0.985, 0.240, 0.522], [0.522, 0.515, 0.740], [0.740, 0.978, 0.015], [0.515, 0.760, 0.022], [0.485, 0.260, 0.478], [0.522, 0.985, 0.240], [0.485, 0.240, 0.978], [0.240, 0.978, 0.485], [0.260, 0.260, 0.260], [0.740, 0.740, 0.740], [0.478, 0.015, 0.760], [0.260, 0.240, 0.760], [0.515, 0.740, 0.522], [0.760, 0.260, 0.240], [0.740, 0.760, 0.240], [0.015, 0.740, 0.978], [0.978, 0.015, 0.740], [0.985, 0.260, 0.022], [0.022, 0.515, 0.760], [0.015, 0.760, 0.478], [0.978, 0.485, 0.240], [0.760, 0.240, 0.740], [0.240, 0.740, 0.760], [0.260, 0.478, 0.485], [0.240, 0.522, 0.985], [0.240, 0.760, 0.260], [0.760, 0.478, 0.015], [0.740, 0.522, 0.515], [0.022, 0.985, 0.260], [0.478, 0.485, 0.260], [0.760, 0.022, 0.515], [0.260, 0.022, 0.985], [0.870, 0.130, 0.630], [0.630, 0.630, 0.630], [0.370, 0.130, 0.870], [0.130, 0.630, 0.870], [0.870, 0.370, 0.130], [0.370, 0.370, 0.370], [0.130, 0.870, 0.370], [0.630, 0.870, 0.130], [0.869, 0.630, 0.116], [0.630, 0.384, 0.369], [0.616, 0.869, 0.870], [0.367, 0.867, 0.633], [0.636, 0.620, 0.896], [0.880, 0.104, 0.136], [0.631, 0.370, 0.616], [0.631, 0.130, 0.116], [0.633, 0.133, 0.367], [0.133, 0.367, 0.633], [0.616, 0.631, 0.370], [0.867, 0.633, 0.367], [0.867, 0.867, 0.867], [0.633, 0.367, 0.867], [0.369, 0.630, 0.384], [0.870, 0.616, 0.869], [0.869, 0.870, 0.616], [0.116, 0.869, 0.630], [0.130, 0.384, 0.131], [0.364, 0.380, 0.104], [0.620, 0.896, 0.636], [0.864, 0.380, 0.396], [0.630, 0.116, 0.869], [0.104, 0.364, 0.380], [0.133, 0.133, 0.133], [0.896, 0.636, 0.620], [0.364, 0.120, 0.604], [0.380, 0.104, 0.364], [0.620, 0.604, 0.136], [0.896, 0.864, 0.120], [0.369, 0.870, 0.884], [0.396, 0.636, 0.880], [0.131, 0.130, 0.384], [0.384, 0.369, 0.630], [0.864, 0.120, 0.896], [0.104, 0.136, 0.880], [0.116, 0.631, 0.130], [0.880, 0.396, 0.636], [0.120, 0.604, 0.364], [0.130, 0.116, 0.631], [0.367, 0.633, 0.133], [0.131, 0.370, 0.884], [0.604, 0.364, 0.120], [0.884, 0.131, 0.370], [0.136, 0.880, 0.104], [0.604, 0.136, 0.620], [0.370, 0.616, 0.631], [0.636, 0.880, 0.396], [0.884, 0.369, 0.870], [0.120, 0.896, 0.864], [0.870, 0.884, 0.369], [0.384, 0.131, 0.130], [0.370, 0.884, 0.131], [0.380, 0.396, 0.864], [0.396, 0.864, 0.380], [0.136, 0.620, 0.604]], "spacegroup": "Pa-3 (205)", "dft_energy_ev_per_atom": -5.43, "formation_energy_ev_per_atom": -0.905, "corrected_energy_ev_per_atom": -5.55}

***

Entry 8:
{"formula": "Li15W7N19", "functional": "PBE-GGA", "state": "relaxed", "cell": [[5.780, -0.219, -0.006], [-2.307, 10.858, -0.087], [-1.214, -0.498, 17.540]], "species": ["Li", "Li", "Li", "Li", "Li", "Li", "Li", "Li", "Li", "Li", "Li", "Li", "Li", "Li", "Li", "Li", "Li", "Li", "Li", "Li", "Li", "Li", "Li", "Li", "Li", "Li", "Li", "Li", "Li", "Li", "W", "W", "W", "W", "W", "W", "W", "W", "W", "W", "W", "W", "W", "W", "N", "N", "N", "N", "N", "N", "N", "N", "N", "N", "N", "N", "N", "N", "N", "N", "N", "N", "N", "N", "N", "N", "N", "N", "N", "N", "N", "N", "N", "N", "N", "N", "N", "N", "N", "N", "N", "N"], "fractional_positions": [[0.624, 0.514, 0.302], [0.473, 0.830, 0.347], [0.784, 0.987, 0.208], [0.118, 0.080, 0.104], [0.931, 0.963, 0.368], [0.069, 0.037, 0.632], [0.654, 0.071, 0.956], [0.376, 0.486, 0.698], [0.167, 0.241, 0.716], [0.224, 0.860, 0.178], [0.853, 0.733, 0.793], [0.147, 0.267, 0.207], [0.574, 0.343, 0.851], [0.280, 0.834, 0.594], [0.833, 0.759, 0.284], [0.500, 0.386, 0.546], [0.346, 0.929, 0.044], [0.000, 0.500, 0.500], [0.020, 0.623, 0.983], [0.500, 0.500, 0.000], [0.368, 0.085, 0.498], [0.720, 0.166, 0.406], [0.980, 0.377, 0.017], [0.527, 0.170, 0.653], [0.500, 0.614, 0.454], [0.632, 0.915, 0.502], [0.882, 0.920, 0.896], [0.426, 0.657, 0.149], [0.776, 0.140, 0.822], [0.216, 0.013, 0.792], [0.813, 0.428, 0.702], [0.627, 0.937, 0.708], [0.129, 0.458, 0.874], [0.969, 0.245, 0.544], [0.399, 0.792, 0.880], [0.292, 0.330, 0.387], [0.601, 0.208, 0.120], [0.275, 0.181, 0.938], [0.187, 0.572, 0.298], [0.373, 0.063, 0.292], [0.725, 0.819, 0.062], [0.708, 0.670, 0.613], [0.031, 0.755, 0.456], [0.871, 0.542, 0.126], [0.144, 0.543, 0.082], [0.441, 0.563, 0.571], [0.223, 0.403, 0.292], [0.649, 0.017, 0.316], [0.559, 0.437, 0.429], [0.917, 0.590, 0.233], [0.583, 0.875, 0.969], [0.856, 0.457, 0.918], [0.538, 0.335, 0.732], [0.605, 0.842, 0.801], [0.762, 0.793, 0.413], [0.969, 0.099, 0.914], [0.155, 0.637, 0.395], [0.031, 0.901, 0.086], [0.123, 0.923, 0.278], [0.238, 0.207, 0.587], [0.716, 0.642, 0.065], [0.777, 0.597, 0.708], [0.351, 0.983, 0.684], [0.261, 0.896, 0.482], [0.341, 0.167, 0.378], [0.659, 0.833, 0.622], [0.417, 0.125, 0.031], [0.126, 0.839, 0.862], [0.033, 0.324, 0.449], [0.675, 0.381, 0.104], [0.460, 0.149, 0.865], [0.739, 0.104, 0.518], [0.540, 0.851, 0.135], [0.325, 0.619, 0.896], [0.874, 0.161, 0.138], [0.967, 0.676, 0.551], [0.284, 0.358, 0.935], [0.462, 0.665, 0.268], [0.395, 0.158, 0.199], [0.083, 0.410, 0.767], [0.845, 0.363, 0.605], [0.877, 0.077, 0.722]], "magnetic_moment_mub_per_fu": 0.0, "spacegroup": "P-1 (2)", "dft_energy_ev_per_atom": -7.38, "formation_energy_ev_per_atom": -0.776, "corrected_energy_ev_per_atom": -7.55}